An optimized crystal structure of Na2Ca6Mg7FeSi16O48. Source: Materials Project, functional PBE with a Hubbard U.

Lattice parameters (Å, degrees): 13.331 13.331 5.329 79.00 79.00 85.13
Positions (direct):
O 0.668 0.181 0.901
O 0.943 0.696 0.793
O 0.053 0.805 0.194
O 0.832 0.319 0.592
O 0.398 0.486 0.223
O 0.169 0.680 0.906
O 0.195 0.947 0.806
O 0.306 0.557 0.703
O 0.819 0.332 0.099
O 0.181 0.168 0.901
O 0.683 0.666 0.900
O 0.320 0.831 0.094
O 0.304 0.057 0.207
O 0.945 0.192 0.303
O 0.013 0.601 0.278
O 0.558 0.305 0.204
O 0.194 0.442 0.294
O 0.399 0.987 0.722
O 0.602 0.513 0.278
O 0.486 0.898 0.224
O 0.901 0.984 0.232
O 0.514 0.602 0.777
O 0.334 0.317 0.100
O 0.980 0.905 0.721
O 0.514 0.102 0.277
O 0.318 0.333 0.600
O 0.898 0.486 0.723
O 0.694 0.944 0.292
O 0.815 0.832 0.600
O 0.182 0.666 0.399
O 0.095 0.020 0.279
O 0.443 0.193 0.794
O 0.487 0.398 0.722
O 0.016 0.099 0.768
O 0.695 0.442 0.796
O 0.443 0.694 0.297
O 0.056 0.306 0.708
O 0.604 0.012 0.779
O 0.988 0.396 0.221
O 0.558 0.806 0.706
O 0.667 0.682 0.400
O 0.102 0.514 0.776
O 0.807 0.557 0.206
O 0.168 0.185 0.400
O 0.334 0.818 0.601
O 0.808 0.055 0.697
O 0.832 0.819 0.099
O 0.681 0.168 0.408
Si 0.188 0.098 0.196
Si 0.691 0.097 0.697
Si 0.404 0.310 0.805
Si 0.096 0.190 0.694
Si 0.311 0.403 0.305
Si 0.810 0.904 0.306
Si 0.599 0.189 0.195
Si 0.312 0.903 0.805
Si 0.811 0.401 0.805
Si 0.097 0.688 0.195
Si 0.902 0.812 0.804
Si 0.189 0.598 0.693
Si 0.597 0.689 0.695
Si 0.690 0.596 0.195
Si 0.402 0.811 0.307
Si 0.903 0.309 0.303
Ca 0.150 0.351 0.997
Ca 0.351 0.149 0.500
Ca 0.649 0.850 0.003
Ca 0.349 0.651 0.000
Ca 0.651 0.349 0.500
Ca 0.851 0.649 0.500
Mg 0.047 0.953 0.000
Mg 0.954 0.545 0.999
Mg 0.454 0.546 0.500
Mg 0.455 0.046 0.001
Mg 0.046 0.453 0.499
Mg 0.546 0.454 0.000
Mg 0.547 0.954 0.501
Na 0.148 0.852 0.500
Na 0.850 0.150 0.000
Fe 0.950 0.050 0.500

## Properties
**Symmetry**: C2
**Size of the total moment**: 3.1 μB/cell

---

An optimized crystal structure of Li9Mn2Co5O16. Source: Materials Project, functional PBE with a Hubbard U.

Lattice parameters (Å, degrees): 5.899 6.446 8.111 88.83 89.38 65.90
Positions (direct):
Co 0.251 0.500 0.501
Co 0.377 0.753 0.248
Co 0.862 0.758 0.247
Co 0.626 0.245 0.751
Co 0.138 0.242 0.754
O 0.241 0.489 0.734
O 0.631 0.262 0.510
O 0.884 0.758 0.013
O 0.985 0.995 0.239
O 0.402 0.720 0.492
O 0.502 0.020 0.746
O 0.097 0.279 0.510
O 0.342 0.770 0.013
O 0.491 0.983 0.252
O 0.116 0.243 0.988
O 0.870 0.739 0.489
O 0.257 0.515 0.266
O 0.743 0.488 0.737
O 0.017 0.004 0.762
O 0.656 0.230 0.986
O 0.761 0.507 0.262
Li 0.995 0.000 0.500
Li 0.379 0.755 0.757
Li 0.868 0.753 0.755
Li 0.752 0.501 0.999
Li 0.134 0.248 0.245
Li 0.506 0.000 0.500
Li 0.620 0.244 0.244
Li 0.248 0.498 0.001
Li 0.500 0.000 0.000
Mn 0.750 0.500 0.499
Mn 0.000 0.000 0.001

## Properties
**Symmetry**: P1
**Size of the total moment**: 10.0 μB/cell
**Excess energy over the best structure of this formula in the dataset**: 24 meV/atom

---

An optimized crystal structure of CoGeO3. Source: Materials Project, functional PBE with a Hubbard U.

Lattice parameters (Å, degrees): 5.192 6.693 6.690 85.64 81.65 81.38
Positions (direct):
Co 0.250 0.733 0.267
Co 0.751 0.909 0.095
Co 0.249 0.099 0.900
Co 0.751 0.262 0.737
Ge 0.783 0.396 0.207
Ge 0.286 0.206 0.393
Ge 0.716 0.792 0.605
Ge 0.215 0.607 0.795
O 0.887 0.862 0.370
O 0.864 0.205 0.028
O 0.115 0.135 0.628
O 0.386 0.372 0.864
O 0.368 0.025 0.204
O 0.133 0.796 0.974
O 0.636 0.973 0.793
O 0.091 0.429 0.291
O 0.611 0.630 0.138
O 0.910 0.570 0.709
O 0.591 0.291 0.430
O 0.408 0.708 0.570

## Properties
**Symmetry**: P1
**Size of the total moment**: 12.0 μB/cell

---

An optimized crystal structure of Li3Co4TeO8. Source: Materials Project, functional PBE with a Hubbard U.

Lattice parameters (Å, degrees): 6.048 6.048 6.185 60.00 60.00 61.39
Positions (direct):
Te 0.500 0.500 0.000
Li 0.000 0.000 0.500
Li 0.500 0.000 0.000
Li 0.000 0.500 0.000
O 0.255 0.255 0.252
O 0.742 0.262 0.238
O 0.745 0.745 0.748
O 0.250 0.250 0.731
O 0.738 0.258 0.762
O 0.258 0.738 0.762
O 0.262 0.742 0.238
O 0.750 0.750 0.269
Co 0.000 0.000 0.000
Co 0.000 0.500 0.500
Co 0.500 0.500 0.500
Co 0.500 0.000 0.500

## Properties
**Symmetry**: C2/m
**Size of the total moment**: 12.8 μB/cell

---

An optimized crystal structure of Sr4Al6WO16. Source: Materials Project, functional PBE with a Hubbard U.

Lattice parameters (Å, degrees): 16.513 16.513 16.513 109.86 109.28 109.28
Positions (direct):
W 0.498 0.248 0.750
W 0.498 0.250 0.248
W 0.998 0.250 0.748
W 0.002 0.750 0.252
W 0.998 0.748 0.750
W 0.502 0.752 0.250
W 0.002 0.252 0.250
W 0.502 0.750 0.752
O 0.325 0.414 0.414
O 0.142 0.571 0.072
O 0.524 0.827 0.696
O 0.642 0.070 0.071
O 0.170 0.750 0.083
O 0.662 0.573 0.911
O 0.319 0.429 0.250
O 0.833 0.083 0.913
O 0.642 0.572 0.071
O 0.942 0.172 0.615
O 0.000 0.411 0.086
O 0.821 0.390 0.571
O 0.558 0.885 0.328
O 0.999 0.928 0.070
O 0.500 0.914 0.089
O 0.675 0.586 0.586
O 0.170 0.091 0.420
O 0.330 0.080 0.409
O 0.325 0.911 0.411
O 0.319 0.890 0.569
O 0.976 0.804 0.673
O 0.181 0.250 0.071
O 0.670 0.583 0.250
O 0.142 0.571 0.570
O 0.661 0.410 0.573
O 0.443 0.270 0.828
O 0.830 0.921 0.751
O 0.024 0.828 0.197
O 0.131 0.803 0.827
O 0.058 0.230 0.173
O 0.499 0.929 0.571
O 0.838 0.589 0.927
O 0.501 0.071 0.429
O 0.976 0.172 0.803
O 0.679 0.750 0.069
O 0.162 0.751 0.590
O 0.681 0.110 0.431
O 0.524 0.697 0.328
O 0.167 0.917 0.087
O 0.833 0.750 0.420
O 0.662 0.090 0.251
O 0.667 0.587 0.417
O 0.170 0.580 0.749
O 0.321 0.250 0.931
O 0.500 0.586 0.911
O 0.161 0.089 0.751
O 0.830 0.580 0.413
O 0.358 0.428 0.929
O 0.339 0.749 0.411
O 0.000 0.589 0.414
O 0.170 0.420 0.587
O 0.825 0.911 0.411
O 0.170 0.079 0.249
O 0.557 0.827 0.885
O 0.500 0.086 0.911
O 0.057 0.672 0.230
O 0.330 0.417 0.750
O 0.131 0.328 0.804
O 0.499 0.570 0.428
O 0.330 0.751 0.920
O 0.175 0.086 0.086
O 0.369 0.696 0.172
O 0.670 0.421 0.091
O 0.333 0.920 0.250
O 0.667 0.080 0.750
O 0.330 0.251 0.421
O 0.001 0.929 0.571
O 0.167 0.250 0.580
O 0.821 0.431 0.750
O 0.024 0.196 0.327
O 0.500 0.414 0.089
O 0.825 0.914 0.914
O 0.631 0.304 0.828
O 0.501 0.430 0.572
O 0.631 0.327 0.303
O 0.943 0.328 0.770
O 0.858 0.429 0.928
O 0.058 0.828 0.385
O 0.819 0.069 0.390
O 0.330 0.579 0.909
O 0.557 0.730 0.172
O 0.369 0.673 0.697
O 0.839 0.927 0.090
O 0.558 0.673 0.730
O 0.179 0.610 0.429
O 0.670 0.249 0.080
O 0.819 0.750 0.929
O 0.830 0.409 0.079
O 0.476 0.303 0.672
O 0.838 0.249 0.410
O 0.179 0.569 0.250
O 0.830 0.420 0.251
O 0.839 0.911 0.249
O 0.001 0.072 0.930
O 0.161 0.073 0.910
O 0.858 0.429 0.430
O 0.661 0.251 0.589
O 0.000 0.411 0.586
O 0.830 0.250 0.917
O 0.869 0.197 0.173
O 0.670 0.920 0.591
O 0.679 0.929 0.110
O 0.333 0.413 0.583
O 0.330 0.913 0.080
O 0.000 0.589 0.914
O 0.943 0.615 0.673
O 0.681 0.571 0.750
O 0.675 0.089 0.589
O 0.442 0.327 0.270
O 0.999 0.071 0.429
O 0.443 0.173 0.115
O 0.942 0.770 0.827
O 0.339 0.590 0.427
O 0.476 0.173 0.304
O 0.321 0.071 0.890
O 0.869 0.672 0.196
O 0.338 0.910 0.749
O 0.442 0.115 0.672
O 0.830 0.909 0.580
O 0.181 0.931 0.610
O 0.358 0.930 0.929
O 0.670 0.087 0.920
O 0.670 0.749 0.579
O 0.170 0.591 0.921
O 0.057 0.385 0.327
O 0.175 0.089 0.589
O 0.338 0.427 0.089
O 0.162 0.411 0.073
Sr 0.494 0.247 0.497
Sr 0.750 0.497 0.003
Sr 0.991 0.495 0.745
Sr 0.245 0.738 0.240
Sr 0.498 0.505 0.260
Sr 0.009 0.505 0.255
Sr 0.491 0.245 0.995
Sr 0.502 0.007 0.262
Sr 0.502 0.495 0.740
Sr 0.006 0.003 0.253
Sr 0.255 0.995 0.993
Sr 0.509 0.755 0.005
Sr 0.994 0.997 0.747
Sr 0.002 0.240 0.995
Sr 0.750 0.005 0.495
Sr 0.498 0.993 0.738
Sr 0.745 0.740 0.238
Sr 0.750 0.745 0.755
Sr 0.755 0.493 0.495
Sr 0.245 0.507 0.505
Sr 0.755 0.262 0.760
Sr 0.998 0.760 0.005
Sr 0.250 0.255 0.245
Sr 0.250 0.995 0.505
Sr 0.750 0.253 0.247
Sr 0.250 0.747 0.753
Sr 0.002 0.762 0.507
Sr 0.745 0.005 0.007
Sr 0.255 0.260 0.762
Sr 0.250 0.503 0.997
Sr 0.506 0.753 0.503
Sr 0.998 0.238 0.493
Al 0.373 0.996 0.375
Al 0.621 0.000 0.129
Al 0.743 0.372 0.622
Al 0.257 0.628 0.378
Al 0.627 0.004 0.625
Al 0.129 0.121 0.000
Al 0.373 0.377 0.498
Al 0.750 0.375 0.125
Al 0.379 0.379 0.008
Al 0.121 0.629 0.500
Al 0.121 0.625 0.998
Al 0.379 0.502 0.875
Al 0.250 0.378 0.122
Al 0.879 0.508 0.879
Al 0.750 0.125 0.875
Al 0.879 0.371 0.500
Al 0.750 0.875 0.625
Al 0.121 0.492 0.121
Al 0.871 0.992 0.371
Al 0.379 0.000 0.871
Al 0.871 0.879 0.000
Al 0.371 0.871 0.492
Al 0.621 0.498 0.125
Al 0.371 0.500 0.379
Al 0.750 0.622 0.878
Al 0.621 0.621 0.992
Al 0.379 0.877 0.004
Al 0.250 0.375 0.625
Al 0.750 0.625 0.375
Al 0.879 0.375 0.002
Al 0.250 0.875 0.125
Al 0.243 0.122 0.872
Al 0.629 0.500 0.621
Al 0.121 0.496 0.623
Al 0.873 0.875 0.496
Al 0.250 0.125 0.375
Al 0.127 0.002 0.123
Al 0.621 0.123 0.996
Al 0.129 0.008 0.629
Al 0.757 0.878 0.128
Al 0.879 0.504 0.377
Al 0.250 0.872 0.628
Al 0.127 0.125 0.504
Al 0.250 0.625 0.875
Al 0.873 0.998 0.877
Al 0.750 0.128 0.372
Al 0.629 0.129 0.508
Al 0.627 0.623 0.502

## Properties
**Symmetry**: I4_1/acd
**Size of the total moment**: 0.0 μB/cell
**Excess energy over the best structure of this formula in the dataset**: 0 meV/atom

---

An optimized crystal structure of NaCrF6. Source: Materials Project, functional PBE with a Hubbard U.

Lattice parameters (Å, degrees): 5.930 7.866 9.566 90.00 90.00 90.00
Positions (direct):
F 0.250 0.819 0.802
F 0.967 0.173 0.895
F 0.964 0.051 0.643
F 0.464 0.949 0.357
F 0.036 0.551 0.857
F 0.536 0.051 0.643
F 0.536 0.449 0.143
F 0.533 0.327 0.395
F 0.467 0.673 0.605
F 0.750 0.598 0.335
F 0.033 0.673 0.605
F 0.250 0.681 0.302
F 0.750 0.902 0.835
F 0.964 0.449 0.143
F 0.250 0.402 0.665
F 0.033 0.827 0.105
F 0.533 0.173 0.895
F 0.464 0.551 0.857
F 0.967 0.327 0.395
F 0.036 0.949 0.357
F 0.750 0.319 0.698
F 0.250 0.098 0.165
F 0.467 0.827 0.105
F 0.750 0.181 0.198
Na 0.750 0.834 0.496
Na 0.250 0.334 0.004
Na 0.750 0.666 0.996
Na 0.250 0.166 0.504
Cr 0.250 0.884 0.229
Cr 0.750 0.116 0.771
Cr 0.750 0.384 0.271
Cr 0.250 0.616 0.729

## Properties
**Symmetry**: Pnma

---

Computed ΔH_f (0 K), in the same sequence as the records: -3.194 -1.841 -1.792 -1.575 -3.309 -2.566 eV/atom.
Computed density, in the same sequence as the records: 3.151 4.266 5.253 5.262 3.649 2.813 g/cm3.